[1]
Compound: Ti2In3Cl9
Source: Materials Project
Functional: meta-GGA r2SCAN
Structure: optimized geometry

Properties
Mass density: 3.34 g/cm3
Formation enthalpy at 0 K: -1.439 eV/atom

```
data_Ti2In3Cl9
_chemical_formula_sum 'Ti8 In12 Cl36'
_cell_length_a 12.2952
_cell_length_b 7.0987
_cell_length_c 17.2982
_cell_angle_alpha 90.00
_cell_angle_beta 90.03
_cell_angle_gamma 90.00
_space_group_name_H-M_alt 'C 1 m 1'
_space_group_IT_number 8
loop_
_space_group_symop_operation_xyz
'x,y,z'
'x,-y,z'
'x+1/2,y+1/2,z'
'x+1/2,-y+1/2,z'
loop_
_atom_site_label
_atom_site_type_symbol
_atom_site_fract_x
_atom_site_fract_y
_atom_site_fract_z
Ti1 Ti 0.0000 0.0000 0.0000
Ti2 Ti 0.0000 0.0000 0.1711
Ti3 Ti 0.1667 0.5000 0.5000
Ti4 Ti 0.1667 0.5000 0.6710
In1 In 0.0000 0.0000 0.3964
In2 In 0.0000 0.0000 0.7879
In3 In 0.1668 0.5000 0.2879
In4 In 0.1666 0.5000 0.8963
In5 In 0.3333 0.0000 0.1178
In6 In 0.3334 0.0000 0.6178
Cl1 Cl 0.0061 0.5000 0.7483
Cl2 Cl 0.0069 0.5000 0.4239
Cl3 Cl 0.0803 0.2408 0.0867
Cl4 Cl 0.0864 0.2591 0.5867
Cl5 Cl 0.1597 0.0000 0.9239
Cl6 Cl 0.1607 0.0000 0.2483
Cl7 Cl 0.2469 0.2590 0.7482
Cl8 Cl 0.2465 0.2606 0.4239
Cl9 Cl 0.3273 0.5000 0.5867
Cl10 Cl 0.3394 0.5000 0.0867
Cl11 Cl 0.4197 0.2591 0.2482
Cl12 Cl 0.4202 0.2605 0.9239
```



[2]
Compound: Pr6IrCl11
Source: Materials Project
Functional: meta-GGA r2SCAN
Structure: optimized geometry

Properties
Mass density: 4.79 g/cm3
Formation enthalpy at 0 K: -2.272 eV/atom

```
data_Pr6IrCl11
_chemical_formula_sum 'Pr12 Ir2 Cl22'
_cell_length_a 10.4605
_cell_length_b 12.8227
_cell_length_c 7.4009
_cell_angle_alpha 90.00
_cell_angle_beta 94.56
_cell_angle_gamma 90.00
_space_group_name_H-M_alt 'C 1 2/m 1'
_space_group_IT_number 12
loop_
_space_group_symop_operation_xyz
'x,y,z'
'-x,-y,-z'
'-x,y,-z'
'x,-y,z'
'x+1/2,y+1/2,z'
'-x+1/2,-y+1/2,-z'
'-x+1/2,y+1/2,-z'
'x+1/2,-y+1/2,z'
loop_
_atom_site_label
_atom_site_type_symbol
_atom_site_fract_x
_atom_site_fract_y
_atom_site_fract_z
Pr1 Pr 0.1374 0.1552 0.2714
Pr2 Pr 0.1942 0.0000 0.7390
Ir1 Ir 0.0000 0.0000 0.5000
Cl1 Cl 0.0000 0.0000 0.0000
Cl2 Cl 0.1232 0.2174 0.8644
Cl3 Cl 0.1527 0.3561 0.4443
Cl4 Cl 0.1940 0.5000 0.8655
```



[3]
Compound: KMnCl3
Source: Materials Project
Functional: meta-GGA r2SCAN
Structure: optimized geometry

Properties
Mass density: 2.73 g/cm3
Formation enthalpy at 0 K: -1.853 eV/atom

```
data_KMnCl3
_chemical_formula_sum 'K4 Mn4 Cl12'
_cell_length_a 8.8035
_cell_length_b 3.8627
_cell_length_c 14.3624
_cell_angle_alpha 90.00
_cell_angle_beta 90.00
_cell_angle_gamma 90.00
_space_group_name_H-M_alt 'P n m a'
_space_group_IT_number 62
loop_
_space_group_symop_operation_xyz
'x,y,z'
'-x,-y,-z'
'-x+1/2,-y,z+1/2'
'x+1/2,y,-z+1/2'
'x+1/2,-y+1/2,-z+1/2'
'-x+1/2,y+1/2,z+1/2'
'-x,y+1/2,-z'
'x,-y+1/2,z'
loop_
_atom_site_label
_atom_site_type_symbol
_atom_site_fract_x
_atom_site_fract_y
_atom_site_fract_z
K1 K 0.0631 0.2500 0.1752
Mn1 Mn 0.1647 0.7500 0.4448
Cl1 Cl 0.0221 0.7500 0.6001
Cl2 Cl 0.1730 0.7500 0.0061
Cl3 Cl 0.2207 0.2500 0.7920
```



[4]
Compound: KMnCl3
Source: Materials Project
Functional: meta-GGA r2SCAN
Structure: optimized geometry

Properties
Mass density: 2.69 g/cm3
Formation enthalpy at 0 K: -1.841 eV/atom

```
data_KMnCl3
_chemical_formula_sum 'K4 Mn4 Cl12'
_cell_length_a 7.0960
_cell_length_b 9.9901
_cell_length_c 6.9687
_cell_angle_alpha 90.00
_cell_angle_beta 90.00
_cell_angle_gamma 90.00
_space_group_name_H-M_alt 'P n m a'
_space_group_IT_number 62
loop_
_space_group_symop_operation_xyz
'x,y,z'
'-x,-y,-z'
'-x+1/2,-y,z+1/2'
'x+1/2,y,-z+1/2'
'x+1/2,-y+1/2,-z+1/2'
'-x+1/2,y+1/2,z+1/2'
'-x,y+1/2,-z'
'x,-y+1/2,z'
loop_
_atom_site_label
_atom_site_type_symbol
_atom_site_fract_x
_atom_site_fract_y
_atom_site_fract_z
K1 K 0.0495 0.2500 0.0127
Mn1 Mn 0.0000 0.0000 0.5000
Cl1 Cl 0.0064 0.7500 0.4392
Cl2 Cl 0.2079 0.5310 0.7928
```



[5]
Compound: K2MnCl6
Source: Materials Project
Functional: meta-GGA r2SCAN
Structure: optimized geometry

Properties
Mass density: 2.54 g/cm3
Formation enthalpy at 0 K: -1.641 eV/atom

```
data_K2MnCl6
_chemical_formula_sum 'K8 Mn4 Cl24'
_cell_length_a 9.6702
_cell_length_b 9.6702
_cell_length_c 9.6702
_cell_angle_alpha 90.00
_cell_angle_beta 90.00
_cell_angle_gamma 90.00
_space_group_name_H-M_alt 'F m -3 m'
_space_group_IT_number 225
_space_group_name_Hall '-F 4 2 3'
loop_
_atom_site_label
_atom_site_type_symbol
_atom_site_fract_x
_atom_site_fract_y
_atom_site_fract_z
K1 K 0.2500 0.2500 0.2500
Mn1 Mn 0.0000 0.0000 0.0000
Cl1 Cl 0.0000 0.0000 0.2355
```



[6]
Compound: K2MoCl6
Source: Materials Project
Functional: meta-GGA r2SCAN
Structure: optimized geometry

Properties
Mass density: 2.70 g/cm3
Formation enthalpy at 0 K: -1.597 eV/atom

```
data_K2MoCl6
_chemical_formula_sum 'K8 Mo4 Cl24'
_cell_length_a 9.8329
_cell_length_b 9.8329
_cell_length_c 9.8329
_cell_angle_alpha 90.00
_cell_angle_beta 90.00
_cell_angle_gamma 90.00
_space_group_name_H-M_alt 'F m -3 m'
_space_group_IT_number 225
_space_group_name_Hall '-F 4 2 3'
loop_
_atom_site_label
_atom_site_type_symbol
_atom_site_fract_x
_atom_site_fract_y
_atom_site_fract_z
K1 K 0.2500 0.2500 0.2500
Mo1 Mo 0.0000 0.0000 0.0000
Cl1 Cl 0.0000 0.0000 0.2424
```



[7]
Compound: K4NaCl5
Source: Materials Project
Functional: meta-GGA r2SCAN
Structure: optimized geometry

Properties
Mass density: 2.03 g/cm3
Formation enthalpy at 0 K: -2.126 eV/atom

```
data_K4NaCl5
_chemical_formula_sum 'K8 Na2 Cl10'
_cell_length_a 14.4652
_cell_length_b 4.3471
_cell_length_c 10.6950
_cell_angle_alpha 90.00
_cell_angle_beta 119.59
_cell_angle_gamma 90.00
_space_group_name_H-M_alt 'C 1 2/m 1'
_space_group_IT_number 12
loop_
_space_group_symop_operation_xyz
'x,y,z'
'-x,-y,-z'
'-x,y,-z'
'x,-y,z'
'x+1/2,y+1/2,z'
'-x+1/2,-y+1/2,-z'
'-x+1/2,y+1/2,-z'
'x+1/2,-y+1/2,z'
loop_
_atom_site_label
_atom_site_type_symbol
_atom_site_fract_x
_atom_site_fract_y
_atom_site_fract_z
K1 K 0.1041 0.0000 0.4004
K2 K 0.1964 0.5000 0.8070
Na1 Na 0.0000 0.5000 0.0000
Cl1 Cl 0.0000 0.5000 0.5000
Cl2 Cl 0.0890 0.0000 0.9087
Cl3 Cl 0.1943 0.5000 0.2839
```



[8]
Compound: KNa4Cl5
Source: Materials Project
Functional: meta-GGA r2SCAN
Structure: optimized geometry

Properties
Mass density: 2.16 g/cm3
Formation enthalpy at 0 K: -2.045 eV/atom

```
data_KNa4Cl5
_chemical_formula_sum 'K2 Na8 Cl10'
_cell_length_a 13.4698
_cell_length_b 4.0439
_cell_length_c 10.0078
_cell_angle_alpha 90.00
_cell_angle_beta 119.51
_cell_angle_gamma 90.00
_space_group_name_H-M_alt 'C 1 2/m 1'
_space_group_IT_number 12
loop_
_space_group_symop_operation_xyz
'x,y,z'
'-x,-y,-z'
'-x,y,-z'
'x,-y,z'
'x+1/2,y+1/2,z'
'-x+1/2,-y+1/2,-z'
'-x+1/2,y+1/2,-z'
'x+1/2,-y+1/2,z'
loop_
_atom_site_label
_atom_site_type_symbol
_atom_site_fract_x
_atom_site_fract_y
_atom_site_fract_z
K1 K 0.0000 0.0000 0.0000
Na1 Na 0.0971 0.5000 0.4021
Na2 Na 0.2003 0.0000 0.7919
Cl1 Cl 0.0000 0.0000 0.5000
Cl2 Cl 0.1095 0.5000 0.8874
Cl3 Cl 0.2065 0.0000 0.3144
```